# 1
DFT (PBE with a Hubbard U) results for crystalline Li8Ni5O10 at its relaxed geometry.

Cell: 7.956 5.316 5.912 Å, 63.51 110.64 90.29°
Positions (direct):
Li  0.700  0.024  0.313
Li  0.130  0.588  0.487
Li  0.270  0.213  0.913
Li  0.060  0.845  0.673
Li  0.701  0.775  0.087
Li  0.523  0.407  0.907
Li  0.878  0.393  0.493
Li  0.340  0.955  0.728
Ni  0.993  0.004  0.009
Ni  0.200  0.400  0.200
Ni  0.595  0.208  0.589
Ni  0.407  0.796  0.391
Ni  0.804  0.592  0.811
O  0.453  0.216  0.221
O  0.233  0.832  0.016
O  0.045  0.433  0.806
O  0.355  0.367  0.594
O  0.845  0.015  0.642
O  0.167  0.968  0.384
O  0.652  0.625  0.426
O  0.947  0.584  0.179
O  0.748  0.175  0.974
O  0.555  0.785  0.758

Properties
- E above lowest polymorph (kJ/mol of formula units) = 0
- total DFT energy (no corrections) (eV per formula unit) = -110.9
- ΔH_f (0 K) (meV per atom) = -1601
- space-group type = P-1, No. 2

# 2
DFT (PBE with a Hubbard U) results for crystalline CrO3 at its relaxed geometry.

Cell: 4.570 5.852 9.571 Å, 90.00 90.00 90.00°
Positions (direct):
Cr  0.962  0.040  0.250
Cr  0.462  0.460  0.750
Cr  0.538  0.540  0.250
Cr  0.038  0.960  0.750
O  0.169  0.056  0.116
O  0.169  0.056  0.384
O  0.718  0.272  0.250
O  0.218  0.228  0.750
O  0.669  0.444  0.616
O  0.669  0.444  0.884
O  0.331  0.556  0.116
O  0.331  0.556  0.384
O  0.782  0.772  0.250
O  0.282  0.728  0.750
O  0.831  0.944  0.884
O  0.831  0.944  0.616

Properties
- E above lowest polymorph (kJ/mol of formula units) = 20
- total DFT energy (no corrections) (eV per formula unit) = -26.3
- ΔH_f (0 K) (meV per atom) = -1459
- space-group type = Pnma, No. 62

# 3
DFT (PBE with a Hubbard U) results for crystalline MnP2O10 at its relaxed geometry.

Cell: 8.868 5.232 8.342 Å, 54.35 90.00 90.00°
Positions (direct):
Mn  0.000  0.000  0.000
Mn  0.500  0.000  0.500
P  0.811  0.615  0.656
P  0.189  0.385  0.344
P  0.311  0.385  0.844
P  0.689  0.615  0.156
O  0.368  0.116  0.834
O  0.632  0.884  0.166
O  0.868  0.884  0.666
O  0.132  0.116  0.334
O  0.376  0.362  0.026
O  0.624  0.638  0.974
O  0.876  0.638  0.474
O  0.124  0.362  0.526
O  0.339  0.722  0.659
O  0.661  0.278  0.341
O  0.839  0.278  0.841
O  0.161  0.722  0.159
O  0.056  0.908  0.818
O  0.944  0.092  0.182
O  0.556  0.092  0.682
O  0.444  0.908  0.318
O  0.636  0.648  0.628
O  0.364  0.352  0.372
O  0.136  0.352  0.872
O  0.864  0.648  0.128

Properties
- total DFT energy (no corrections) (eV per formula unit) = -79.3
- ΔH_f (0 K) (meV per atom) = -1417
- space-group type = P2_1/c, No. 14

# 4
DFT (PBE with a Hubbard U) results for crystalline Li2AlNiO4 at its relaxed geometry.

Cell: 10.729 5.098 8.146 Å, 51.45 90.00 90.00°
Positions (direct):
Li  0.834  0.300  0.011
Li  0.080  0.055  0.242
Li  0.580  0.945  0.258
Li  0.334  0.700  0.489
Li  0.666  0.300  0.511
Li  0.420  0.055  0.742
Li  0.920  0.945  0.758
Li  0.166  0.700  0.989
Al  0.412  0.444  0.240
Al  0.912  0.556  0.260
Al  0.088  0.444  0.740
Al  0.588  0.556  0.760
Ni  0.667  0.810  0.008
Ni  0.167  0.190  0.492
Ni  0.833  0.810  0.508
Ni  0.333  0.190  0.992
O  0.336  0.799  0.017
O  0.832  0.679  0.030
O  0.070  0.462  0.250
O  0.408  0.106  0.228
O  0.908  0.894  0.272
O  0.570  0.538  0.250
O  0.332  0.321  0.470
O  0.836  0.201  0.483
O  0.164  0.799  0.517
O  0.668  0.679  0.530
O  0.430  0.462  0.750
O  0.092  0.106  0.728
O  0.592  0.894  0.772
O  0.930  0.538  0.750
O  0.168  0.321  0.970
O  0.664  0.201  0.983

Properties
- total DFT energy (no corrections) (eV per formula unit) = -45.4
- ΔH_f (0 K) (meV per atom) = -2200
- space-group type = P2_1/c, No. 14